No. 1
Computed, not measured: a relaxed CdPtC6N6 crystal at the PBE level of DFT.

Computed properties:
Volume   24.222 Å³ per atom
Energy of formation   2.666 eV/f.u.
SG   Fm-3m (225)
Total magnetic moment   0.00 μB/f.u.

abc: 7.8274 7.8274 7.8274
angles: 60.00 60.00 60.00
Fractional coordinates of all 14 atoms:
Cd 0.0000 0.0000 0.0000
Pt 0.5000 0.5000 0.5000
C 0.3179 0.3179 0.6821
C 0.3179 0.6821 0.3179
C 0.3179 0.6821 0.6821
C 0.6821 0.3179 0.3179
C 0.6821 0.3179 0.6821
C 0.6821 0.6821 0.3179
N 0.2129 0.2129 0.7871
N 0.2129 0.7871 0.2129
N 0.2129 0.7871 0.7871
N 0.7871 0.2129 0.2129
N 0.7871 0.2129 0.7871
N 0.7871 0.7871 0.2129

No. 2
Computed, not measured: a relaxed Gd2Cl3 crystal at the PBE level of DFT.

Computed properties:
Volume   27.275 Å³ per atom
Energy of formation   -11.030 eV/f.u.
SG   C2/m (12)

abc: 7.8528 7.8528 10.2037
angles: 115.92 115.92 29.07
Fractional coordinates of all 10 atoms:
Gd 0.0904 0.0904 0.4455
Gd 0.3624 0.3624 0.2036
Gd 0.6376 0.6376 0.7964
Gd 0.9096 0.9096 0.5545
Cl 0.1578 0.1578 0.0104
Cl 0.2699 0.2699 0.3810
Cl 0.4513 0.4513 0.7694
Cl 0.5487 0.5487 0.2306
Cl 0.7301 0.7301 0.6190
Cl 0.8422 0.8422 0.9896

No. 3
Computed, not measured: a relaxed Dy2S3O20 crystal at the PBE level of DFT.

Computed properties:
Volume   16.265 Å³ per atom
Energy of formation   -28.748 eV/f.u.
SG   C2/c (15)
Total magnetic moment   0.05 μB/f.u.

abc: 7.5596 7.5596 18.1730
angles: 97.37 97.37 52.30
Fractional coordinates of all 50 atoms:
Dy 0.1555 0.1847 0.3928
Dy 0.1847 0.1555 0.8928
Dy 0.8153 0.8445 0.1072
Dy 0.8445 0.8153 0.6072
S 0.1951 0.2470 0.0919
S 0.2470 0.1951 0.5919
S 0.2799 0.7201 0.7500
S 0.7201 0.2799 0.2500
S 0.7530 0.8049 0.4081
S 0.8049 0.7530 0.9081
O 0.0692 0.7682 0.7124
O 0.0966 0.4446 0.5922
O 0.1020 0.8806 0.3834
O 0.1029 0.2420 0.0151
O 0.1080 0.8217 0.5548
O 0.1164 0.1850 0.1470
O 0.1194 0.8980 0.1166
O 0.1221 0.4783 0.1151
O 0.1783 0.8920 0.9452
O 0.1850 0.1164 0.6470
O 0.2318 0.9308 0.7876
O 0.2420 0.1029 0.5151
O 0.2795 0.3418 0.8117
O 0.3013 0.3864 0.4239
O 0.3418 0.2795 0.3117
O 0.3760 0.5508 0.8074
O 0.3864 0.3013 0.9239
O 0.4446 0.0966 0.0922
O 0.4492 0.6240 0.6926
O 0.4783 0.1221 0.6151
O 0.5217 0.8779 0.3849
O 0.5508 0.3760 0.3074
O 0.5554 0.9034 0.9078
O 0.6136 0.6987 0.0761
O 0.6240 0.4492 0.1926
O 0.6582 0.7205 0.6883
O 0.6987 0.6136 0.5761
O 0.7205 0.6582 0.1883
O 0.7580 0.8971 0.4849
O 0.7682 0.0692 0.2124
O 0.8150 0.8836 0.3530
O 0.8217 0.1080 0.0548
O 0.8779 0.5217 0.8849
O 0.8806 0.1020 0.8834
O 0.8836 0.8150 0.8530
O 0.8920 0.1783 0.4452
O 0.8971 0.7580 0.9849
O 0.8980 0.1194 0.6166
O 0.9034 0.5554 0.4078
O 0.9308 0.2318 0.2876

No. 4
Computed, not measured: a relaxed DyAgGe crystal at the PBE level of DFT.

Computed properties:
Volume   21.662 Å³ per atom
Energy of formation   -1.250 eV/f.u.
SG   P-62m (189)
Total magnetic moment   0.00 μB/f.u.

abc: 7.4114 7.4114 4.0984
angles: 90.00 90.00 120.00
Fractional coordinates of all 9 atoms:
Dy 0.0000 0.6057 0.0000
Dy 0.3943 0.3943 0.0000
Dy 0.6057 0.0000 0.0000
Ag 0.0000 0.0000 0.0000
Ag 0.3333 0.6667 0.5000
Ag 0.6667 0.3333 0.5000
Ge 0.0000 0.2682 0.5000
Ge 0.2682 0.0000 0.5000
Ge 0.7318 0.7318 0.5000

Copy entry 4 word for word.
Computed, not measured: a relaxed DyAgGe crystal at the PBE level of DFT.

Computed properties:
Volume   21.662 Å³ per atom
Energy of formation   -1.250 eV/f.u.
SG   P-62m (189)
Total magnetic moment   0.00 μB/f.u.

abc: 7.4114 7.4114 4.0984
angles: 90.00 90.00 120.00
Fractional coordinates of all 9 atoms:
Dy 0.0000 0.6057 0.0000
Dy 0.3943 0.3943 0.0000
Dy 0.6057 0.0000 0.0000
Ag 0.0000 0.0000 0.0000
Ag 0.3333 0.6667 0.5000
Ag 0.6667 0.3333 0.5000
Ge 0.0000 0.2682 0.5000
Ge 0.2682 0.0000 0.5000
Ge 0.7318 0.7318 0.5000